# 1
Computed, not measured: a relaxed CoPtN2 crystal at the GGA-PBE level of DFT.

```
CoPtN2
1.0
1.394 -2.407 0.000
1.394 2.407 0.000
0.000 0.000 12.203
Co Pt N
2 2 4
direct
0.000 0.000 0.000
0.000 0.000 0.500
0.335 0.665 0.750
0.665 0.335 0.250
0.335 0.665 0.587
0.335 0.665 0.913
0.665 0.335 0.087
0.665 0.335 0.413
```

Output
magnetic moment: 0.56 μB per formula unit
calculated volume: 41 Å³/f.u.
E (MP2020): -0.5321 Ry/atom
calculated total energy: -7.059 eV/atom
formation enthalpy at 0 K: 0.22 eV per atom

=====

# 2
Computed, not measured: a relaxed MgH8I2O10 crystal at the GGA-PBE level of DFT.

```
MgH8I2O10
1.0
8.435 0.000 0.000
0.000 6.702 0.000
-1.496 0.000 8.406
Mg H I O
2 16 4 20
direct
0.000 0.000 0.000
0.000 0.500 0.500
0.010 0.118 0.314
0.010 0.382 0.814
0.151 0.001 0.756
0.151 0.499 0.256
0.264 0.618 0.722
0.264 0.882 0.222
0.272 0.727 0.556
0.272 0.773 0.056
0.728 0.227 0.944
0.728 0.273 0.444
0.736 0.118 0.778
0.736 0.382 0.278
0.849 0.501 0.744
0.849 0.999 0.244
0.990 0.618 0.186
0.990 0.882 0.686
0.337 0.177 0.532
0.337 0.323 0.032
0.663 0.677 0.968
0.663 0.823 0.468
0.059 0.572 0.286
0.059 0.928 0.786
0.119 0.223 0.479
0.119 0.277 0.979
0.232 0.607 0.605
0.232 0.893 0.105
0.338 0.574 0.944
0.338 0.926 0.444
0.346 0.114 0.741
0.346 0.386 0.241
0.654 0.614 0.759
0.654 0.886 0.259
0.662 0.074 0.556
0.662 0.426 0.056
0.768 0.107 0.895
0.768 0.393 0.395
0.881 0.723 0.021
0.881 0.777 0.521
0.941 0.072 0.214
0.941 0.428 0.714
```

Output
magnetic moment: 0.00 μB per formula unit
calculated volume: 238 Å³/f.u.
E (MP2020): -0.3815 Ry/atom
calculated total energy: -4.864 eV/atom
formation enthalpy at 0 K: -1.32 eV per atom

=====

# 3
Computed, not measured: a relaxed Tm3Ge13Ir4 crystal at the GGA-PBE level of DFT.

```
Tm3Ge13Ir4
1.0
9.028 0.000 0.000
0.000 9.028 0.000
0.000 0.000 9.028
Tm Ge Ir
6 26 8
direct
0.000 0.250 0.500
0.000 0.750 0.500
0.250 0.500 0.000
0.500 0.000 0.250
0.500 0.000 0.750
0.750 0.500 0.000
0.000 0.000 0.000
0.000 0.310 0.145
0.000 0.310 0.855
0.000 0.690 0.145
0.000 0.690 0.855
0.145 0.000 0.310
0.145 0.000 0.690
0.190 0.500 0.355
0.190 0.500 0.645
0.310 0.145 0.000
0.310 0.855 0.000
0.355 0.190 0.500
0.355 0.810 0.500
0.500 0.355 0.190
0.500 0.355 0.810
0.500 0.500 0.500
0.500 0.645 0.190
0.500 0.645 0.810
0.645 0.190 0.500
0.645 0.810 0.500
0.690 0.145 0.000
0.690 0.855 0.000
0.810 0.500 0.355
0.810 0.500 0.645
0.855 0.000 0.310
0.855 0.000 0.690
0.250 0.250 0.250
0.250 0.250 0.750
0.250 0.750 0.250
0.250 0.750 0.750
0.750 0.250 0.250
0.750 0.250 0.750
0.750 0.750 0.250
0.750 0.750 0.750
```

Output
magnetic moment: 0.01 μB per formula unit
calculated volume: 368 Å³/f.u.
calculated total energy: -5.942 eV/atom
formation enthalpy at 0 K: -0.50 eV per atom

=====

# 4
Computed, not measured: a relaxed Ba6Ga5N crystal at the GGA-PBE level of DFT.

```
Ba6Ga5N
1.0
3.990 2.304 14.131
-3.990 2.304 14.131
0.000 -4.607 14.131
Ba Ga N
12 10 2
direct
0.136 0.710 0.262
0.210 0.636 0.762
0.238 0.790 0.364
0.262 0.136 0.710
0.290 0.738 0.864
0.364 0.238 0.790
0.636 0.762 0.210
0.710 0.262 0.136
0.738 0.864 0.290
0.762 0.210 0.636
0.790 0.364 0.238
0.864 0.290 0.738
0.048 0.452 0.250
0.198 0.198 0.198
0.250 0.048 0.452
0.302 0.302 0.302
0.452 0.250 0.048
0.548 0.750 0.952
0.698 0.698 0.698
0.750 0.952 0.548
0.802 0.802 0.802
0.952 0.548 0.750
0.000 0.000 0.000
0.500 0.500 0.500
```

Output
calculated volume: 390 Å³/f.u.
E (MP2020): -0.2493 Ry/atom
calculated total energy: -3.362 eV/atom
formation enthalpy at 0 K: -0.48 eV per atom

=====

# 5
Computed, not measured: a relaxed KMg6Nb crystal at the GGA-PBE level of DFT.

```
KMg6Nb
1.0
6.593 0.000 0.000
0.000 6.593 0.000
0.000 0.000 4.541
K Mg Nb
1 6 1
direct
0.000 0.000 0.000
0.000 0.500 0.000
0.281 0.281 0.500
0.281 0.719 0.500
0.500 0.000 0.000
0.719 0.281 0.500
0.719 0.719 0.500
0.500 0.500 0.000
```

Output
magnetic moment: 0.00 μB per formula unit
calculated volume: 197 Å³/f.u.
distance to the lowest polymorph of the same formula: 4 meV/atom
calculated total energy: -2.306 eV/atom
formation enthalpy at 0 K: 0.30 eV per atom

=====

# 6
Computed, not measured: a relaxed Ho3CuSnS7 crystal at the GGA-PBE level of DFT.

```
Ho3CuSnS7
1.0
9.710 0.000 0.000
-4.855 8.409 0.000
0.000 0.000 6.248
Ho Cu Sn S
6 2 2 14
direct
0.152 0.793 0.000
0.207 0.359 0.000
0.359 0.152 0.500
0.641 0.848 0.000
0.793 0.641 0.500
0.848 0.207 0.500
0.000 0.000 0.376
0.000 0.000 0.876
0.333 0.667 0.563
0.667 0.333 0.063
0.081 0.521 0.747
0.117 0.854 0.418
0.146 0.263 0.418
0.263 0.117 0.918
0.333 0.667 0.178
0.440 0.919 0.747
0.479 0.560 0.747
0.521 0.440 0.247
0.560 0.081 0.247
0.667 0.333 0.678
0.737 0.883 0.418
0.854 0.737 0.918
0.883 0.146 0.918
0.919 0.479 0.247
```

Output
magnetic moment: 0.00 μB per formula unit
calculated volume: 255 Å³/f.u.
E (MP2020): -0.4359 Ry/atom
calculated total energy: -5.637 eV/atom
formation enthalpy at 0 K: -1.70 eV per atom
largest piezoelectric modulus: 0.8 C/m2